{"formula": "Sm3YS4", "functional": "PBE-GGA", "state": "relaxed", "delta_e_f_mev_per_atom": -2263, "dft_energy_ry_per_atom": -0.489, "space_group": "C2/m, No. 12", "lattice": [[6.6815, -1.9665, 0.0000], [6.6815, 1.9665, 0.0000], [-1.3076, 0.0000, 6.8302]], "species": ["Sm", "Sm", "Sm", "Y", "S", "S", "S", "S"], "frac_coords": [[0.0000, 0.0000, 0.0000], [0.2516, 0.2516, 0.7539], [0.7484, 0.7484, 0.2461], [0.5000, 0.5000, 0.5000], [0.1220, 0.1220, 0.3797], [0.3769, 0.3769, 0.1315], [0.6231, 0.6231, 0.8685], [0.8780, 0.8780, 0.6203]]}

=====

{"formula": "Sn2S3", "functional": "PBE-GGA", "state": "relaxed", "delta_e_f_mev_per_atom": -698, "dft_energy_ry_per_atom": -0.329, "space_group": "Pnma, No. 62", "lattice": [[9.2718, 0.0000, 0.0000], [0.0000, 3.8015, 0.0000], [0.0000, 0.0000, 14.4305]], "species": ["Sn", "Sn", "Sn", "Sn", "Sn", "Sn", "Sn", "Sn", "S", "S", "S", "S", "S", "S", "S", "S", "S", "S", "S", "S"], "frac_coords": [[0.0315, 0.2500, 0.1629], [0.1597, 0.2500, 0.5499], [0.3403, 0.7500, 0.0499], [0.4685, 0.7500, 0.6629], [0.5315, 0.2500, 0.3371], [0.6597, 0.2500, 0.9501], [0.8403, 0.7500, 0.4501], [0.9685, 0.7500, 0.8371], [0.0179, 0.2500, 0.3949], [0.1685, 0.2500, 0.9950], [0.2197, 0.7500, 0.2076], [0.2803, 0.2500, 0.7076], [0.3315, 0.7500, 0.4950], [0.4821, 0.7500, 0.8949], [0.5179, 0.2500, 0.1051], [0.6685, 0.2500, 0.5050], [0.7197, 0.7500, 0.2924], [0.7803, 0.2500, 0.7924], [0.8315, 0.7500, 0.0050], [0.9821, 0.7500, 0.6051]]}

=====

{"formula": "SnS2", "functional": "PBE-GGA", "state": "relaxed", "delta_e_f_mev_per_atom": -700, "dft_energy_ry_per_atom": -0.328, "space_group": "Fd-3m, No. 227", "lattice": [[0.0000, 5.2615, 5.2615], [5.2615, 0.0000, 5.2615], [5.2615, 5.2615, 0.0000]], "species": ["Sn", "Sn", "Sn", "Sn", "S", "S", "S", "S", "S", "S", "S", "S"], "frac_coords": [[0.0000, 0.0000, 0.0000], [0.0000, 0.0000, 0.5000], [0.0000, 0.5000, 0.0000], [0.5000, 0.0000, 0.0000], [0.2412, 0.7529, 0.7529], [0.2471, 0.2471, 0.2471], [0.2471, 0.2471, 0.7588], [0.2471, 0.7588, 0.2471], [0.7529, 0.2412, 0.7529], [0.7529, 0.7529, 0.2412], [0.7529, 0.7529, 0.7529], [0.7588, 0.2471, 0.2471]]}

=====

{"formula": "SnS2", "functional": "PBE-GGA", "state": "relaxed", "delta_e_f_mev_per_atom": -710, "dft_energy_ry_per_atom": -0.328, "space_group": "P-3m1, No. 164", "lattice": [[3.6999, 0.0000, 0.0000], [-1.8500, 3.2042, 0.0000], [0.0000, 0.0000, 6.9780]], "species": ["Sn", "S", "S"], "frac_coords": [[0.0000, 0.0000, 0.0000], [0.3333, 0.6667, 0.2118], [0.6667, 0.3333, 0.7882]]}

=====

{"formula": "SnS2", "functional": "PBE-GGA", "state": "relaxed", "delta_e_f_mev_per_atom": -645, "dft_energy_ry_per_atom": -0.324, "space_group": "I-42d, No. 122", "lattice": [[-2.9963, 2.9963, 4.9864], [2.9963, -2.9963, 4.9864], [2.9963, 2.9963, -4.9864]], "species": ["Sn", "Sn", "S", "S", "S", "S"], "frac_coords": [[0.0000, 0.0000, 0.0000], [0.7500, 0.2500, 0.5000], [0.1179, 0.6250, 0.9929], [0.3750, 0.3679, 0.4929], [0.6321, 0.1250, 0.0071], [0.8750, 0.8821, 0.5071]]}

=====

{"formula": "SnS2", "functional": "PBE-GGA", "state": "relaxed", "delta_e_f_mev_per_atom": -709, "dft_energy_ry_per_atom": -0.328, "piezo_max_c_m2": 0.01, "space_group": "P6_3mc, No. 186", "lattice": [[3.7008, 0.0000, 0.0000], [-1.8504, 3.2050, 0.0000], [0.0000, 0.0000, 13.3282]], "species": ["Sn", "Sn", "S", "S", "S", "S"], "frac_coords": [[0.3333, 0.6667, 0.0000], [0.6667, 0.3333, 0.5000], [0.0000, 0.0000, 0.3891], [0.0000, 0.0000, 0.8891], [0.3333, 0.6667, 0.6108], [0.6667, 0.3333, 0.1108]]}

=====

{"formula": "Sr2SnS4", "functional": "PBE-GGA", "state": "relaxed", "delta_e_f_mev_per_atom": -1680, "dft_energy_ry_per_atom": -0.354, "piezo_max_c_m2": 0.62, "space_group": "Ama2, No. 40", "lattice": [[10.1160, 0.0000, 0.0000], [0.0000, 5.2614, 3.6614], [0.0000, -5.2614, 3.6614]], "species": ["Sr", "Sr", "Sr", "Sr", "Sn", "Sn", "S", "S", "S", "S", "S", "S", "S", "S"], "frac_coords": [[0.0000, 0.0000, 0.0000], [0.2500, 0.7307, 0.3529], [0.5000, 0.0000, 0.0000], [0.7500, 0.3529, 0.7307], [0.2500, 0.3060, 0.7526], [0.7500, 0.7526, 0.3060], [0.0565, 0.1066, 0.5639], [0.2500, 0.2571, 0.1145], [0.2500, 0.7025, 0.8270], [0.4435, 0.1066, 0.5639], [0.5565, 0.5639, 0.1066], [0.7500, 0.1145, 0.2571], [0.7500, 0.8270, 0.7025], [0.9435, 0.5639, 0.1066]]}

=====

{"formula": "SrSnS3", "functional": "PBE-GGA", "state": "relaxed", "delta_e_f_mev_per_atom": -1379, "dft_energy_ry_per_atom": -0.345, "space_group": "Pnma, No. 62", "lattice": [[8.4087, 0.0000, 0.0000], [0.0000, 3.9063, 0.0000], [0.0000, 0.0000, 14.2391]], "species": ["Sr", "Sr", "Sr", "Sr", "Sn", "Sn", "Sn", "Sn", "S", "S", "S", "S", "S", "S", "S", "S", "S", "S", "S", "S"], "frac_coords": [[0.0677, 0.2500, 0.1753], [0.4323, 0.7500, 0.6753], [0.5677, 0.2500, 0.3247], [0.9323, 0.7500, 0.8247], [0.1690, 0.7500, 0.4425], [0.3310, 0.2500, 0.9425], [0.6690, 0.7500, 0.0575], [0.8310, 0.2500, 0.5575], [0.0293, 0.7500, 0.6053], [0.1536, 0.7500, 0.0053], [0.2100, 0.2500, 0.7848], [0.2900, 0.7500, 0.2848], [0.3464, 0.2500, 0.5053], [0.4707, 0.2500, 0.1053], [0.5293, 0.7500, 0.8947], [0.6536, 0.7500, 0.4947], [0.7100, 0.2500, 0.7152], [0.7900, 0.7500, 0.2152], [0.8464, 0.2500, 0.9947], [0.9707, 0.2500, 0.3947]]}

=====

{"formula": "Sr3Sn2S7", "functional": "PBE-GGA", "state": "relaxed", "delta_e_f_mev_per_atom": -1546, "dft_energy_ry_per_atom": -0.350, "space_group": "Pbam, No. 55", "lattice": [[11.6271, 0.0000, 0.0000], [0.0000, 12.9159, 0.0000], [0.0000, 0.0000, 4.0289]], "species": ["Sr", "Sr", "Sr", "Sr", "Sr", "Sr", "Sn", "Sn", "Sn", "Sn", "S", "S", "S", "S", "S", "S", "S", "S", "S", "S", "S", "S", "S", "S"], "frac_coords": [[0.0000, 0.0000, 0.0000], [0.1117, 0.3534, 0.0000], [0.3883, 0.8534, 0.0000], [0.5000, 0.5000, 0.0000], [0.6117, 0.1466, 0.0000], [0.8883, 0.6466, 0.0000], [0.2222, 0.6085, 0.5000], [0.2778, 0.1085, 0.5000], [0.7222, 0.8915, 0.5000], [0.7778, 0.3915, 0.5000], [0.0000, 0.5000, 0.5000], [0.0788, 0.1793, 0.5000], [0.1512, 0.7046, 0.0000], [0.2030, 0.9344, 0.5000], [0.2970, 0.4344, 0.5000], [0.3488, 0.2046, 0.0000], [0.4212, 0.6793, 0.5000], [0.5000, 0.0000, 0.5000], [0.5788, 0.3207, 0.5000], [0.6512, 0.7954, 0.0000], [0.7030, 0.5656, 0.5000], [0.7970, 0.0656, 0.5000], [0.8488, 0.2954, 0.0000], [0.9212, 0.8207, 0.5000]]}

=====

{"formula": "TaSn2S2", "functional": "PBE-GGA", "state": "relaxed", "delta_e_f_mev_per_atom": -799, "dft_energy_ry_per_atom": -0.458, "space_group": "P6_3/mmc, No. 194", "lattice": [[3.3165, 0.0000, 0.0000], [-1.6583, 2.8722, 0.0000], [0.0000, 0.0000, 24.1228]], "species": ["Ta", "Ta", "Sn", "Sn", "Sn", "Sn", "S", "S", "S", "S"], "frac_coords": [[0.3333, 0.6667, 0.2500], [0.6667, 0.3333, 0.7500], [0.3333, 0.6667, 0.0603], [0.3333, 0.6667, 0.4397], [0.6667, 0.3333, 0.5603], [0.6667, 0.3333, 0.9397], [0.3333, 0.6667, 0.6851], [0.3333, 0.6667, 0.8149], [0.6667, 0.3333, 0.1851], [0.6667, 0.3333, 0.3149]]}

=====

{"formula": "Ta3SnS6", "functional": "PBE-GGA", "state": "relaxed", "delta_e_f_mev_per_atom": -1319, "dft_energy_ry_per_atom": -0.548, "space_group": "P6_3/mcm, No. 193", "lattice": [[5.8094, 0.0000, 0.0000], [-2.9047, 5.0311, 0.0000], [0.0000, 0.0000, 14.7151]], "species": ["Ta", "Ta", "Ta", "Ta", "Ta", "Ta", "Sn", "Sn", "S", "S", "S", "S", "S", "S", "S", "S", "S", "S", "S", "S"], "frac_coords": [[0.0000, 0.0000, 0.2500], [0.0000, 0.0000, 0.7500], [0.3333, 0.6667, 0.2500], [0.3333, 0.6667, 0.7500], [0.6667, 0.3333, 0.2500], [0.6667, 0.3333, 0.7500], [0.0000, 0.0000, 0.0000], [0.0000, 0.0000, 0.5000], [0.0000, 0.3354, 0.1439], [0.0000, 0.3354, 0.3561], [0.0000, 0.6646, 0.6439], [0.0000, 0.6646, 0.8561], [0.3354, 0.0000, 0.1439], [0.3354, 0.0000, 0.3561], [0.3354, 0.3354, 0.6439], [0.3354, 0.3354, 0.8561], [0.6646, 0.0000, 0.6439], [0.6646, 0.0000, 0.8561], [0.6646, 0.6646, 0.1439], [0.6646, 0.6646, 0.3561]]}

=====

{"formula": "Tb2SnS5", "functional": "PBE-GGA", "state": "relaxed", "delta_e_f_mev_per_atom": -1733, "dft_energy_ry_per_atom": -0.416, "space_group": "Pbam, No. 55", "lattice": [[7.7676, 0.0000, 0.0000], [0.0000, 11.3761, 0.0000], [0.0000, 0.0000, 3.8313]], "species": ["Tb", "Tb", "Tb", "Tb", "Sn", "Sn", "S", "S", "S", "S", "S", "S", "S", "S", "S", "S"], "frac_coords": [[0.0318, 0.1727, 0.0000], [0.4682, 0.6727, 0.0000], [0.5318, 0.3273, 0.0000], [0.9682, 0.8273, 0.0000], [0.0000, 0.5000, 0.5000], [0.5000, 0.0000, 0.5000], [0.0000, 0.0000, 0.5000], [0.1716, 0.4036, 0.0000], [0.1749, 0.6961, 0.5000], [0.3251, 0.1961, 0.5000], [0.3284, 0.9036, 0.0000], [0.5000, 0.5000, 0.5000], [0.6716, 0.0964, 0.0000], [0.6749, 0.8039, 0.5000], [0.8251, 0.3039, 0.5000], [0.8284, 0.5964, 0.0000]]}

=====

Repeat the eighth record exactly.
{"formula": "SrSnS3", "functional": "PBE-GGA", "state": "relaxed", "delta_e_f_mev_per_atom": -1379, "dft_energy_ry_per_atom": -0.345, "space_group": "Pnma, No. 62", "lattice": [[8.4087, 0.0000, 0.0000], [0.0000, 3.9063, 0.0000], [0.0000, 0.0000, 14.2391]], "species": ["Sr", "Sr", "Sr", "Sr", "Sn", "Sn", "Sn", "Sn", "S", "S", "S", "S", "S", "S", "S", "S", "S", "S", "S", "S"], "frac_coords": [[0.0677, 0.2500, 0.1753], [0.4323, 0.7500, 0.6753], [0.5677, 0.2500, 0.3247], [0.9323, 0.7500, 0.8247], [0.1690, 0.7500, 0.4425], [0.3310, 0.2500, 0.9425], [0.6690, 0.7500, 0.0575], [0.8310, 0.2500, 0.5575], [0.0293, 0.7500, 0.6053], [0.1536, 0.7500, 0.0053], [0.2100, 0.2500, 0.7848], [0.2900, 0.7500, 0.2848], [0.3464, 0.2500, 0.5053], [0.4707, 0.2500, 0.1053], [0.5293, 0.7500, 0.8947], [0.6536, 0.7500, 0.4947], [0.7100, 0.2500, 0.7152], [0.7900, 0.7500, 0.2152], [0.8464, 0.2500, 0.9947], [0.9707, 0.2500, 0.3947]]}